[1]
Entry from Materials Project: a geometry-optimized Mg6ZnFeO8 structure (PBE+U).

abc: 8.628 4.266 4.266
angles: 90.00 90.00 90.00
Positions (direct):
Mg: 0.248 0.000 0.500
O: 0.251 0.500 0.500
Zn: 0.000 0.000 0.000
Mg: 0.248 0.500 0.000
O: 0.000 0.000 0.500
O: 0.754 0.000 0.000
Mg: 0.752 0.500 0.000
Mg: 0.000 0.500 0.500
O: 0.500 0.500 0.000
O: 0.749 0.500 0.500
O: 0.500 0.000 0.500
O: 0.000 0.500 0.000
Fe: 0.500 0.000 0.000
Mg: 0.752 0.000 0.500
Mg: 0.500 0.500 0.500
O: 0.246 0.000 0.000

=====

[2]
Entry from Materials Project: a geometry-optimized MgZn2Fe2O6 structure (PBE+U).

abc: 5.855 5.855 5.855
angles: 52.43 52.43 52.43
Positions (direct):
O: 0.918 0.254 0.555
Zn: 0.672 0.672 0.672
O: 0.445 0.082 0.746
Fe: 0.857 0.857 0.857
O: 0.555 0.918 0.254
O: 0.746 0.445 0.082
O: 0.254 0.555 0.918
O: 0.082 0.746 0.445
Mg: 0.500 0.500 0.500
Fe: 0.143 0.143 0.143
Zn: 0.328 0.328 0.328

## Properties
offset from the most stable computed form: 62 meV/atom

=====

Number 1: E_tot -92.98 eV/cell, ΔH_f (0 K) -2.6137 eV/atom. Number 2: E_tot -62.42 eV/cell, ΔH_f (0 K) -1.8460 eV/atom.